[1]
Entry from Materials Project: a relaxed structure of CeB4 (PBE-GGA).

Cell and atoms, written as extended XYZ:
```
20
Lattice="-1.088 7.039 0.859 -2.815 0.369 -6.588 -3.697 -0.759 1.537" Properties=species:S:1:pos:R:3 pbc="T T T"
Ce -2.137 1.569 -4.365
Ce -3.036 5.134 -4.767
Ce -0.867 2.273 -0.962
Ce -1.766 5.839 -1.365
B -3.499 2.070 -1.993
B -4.100 4.578 -2.199
B -3.346 3.531 -0.903
B -4.253 3.118 -3.290
B -0.746 -0.153 0.310
B -4.901 3.098 -1.638
B -2.950 -0.605 1.227
B -2.698 3.550 -2.554
B -2.735 3.792 0.694
B -3.104 0.392 -1.870
B -4.495 6.257 -2.322
B -4.864 2.857 -4.886
B -2.386 -0.043 -0.359
B -4.746 1.215 -5.414
B -2.853 5.434 1.222
B -5.213 6.691 -3.834
```

Symmetry: P4/mbm
Energy of formation from the pure elements, eV/atom: -0.628


[2]
Entry from Materials Project: a relaxed structure of CeB6 (PBE-GGA).

Cell and atoms, written as extended XYZ:
```
7
Lattice="-3.166 0.144 2.624 1.901 -2.711 2.442 1.814 3.091 2.020" Properties=species:S:1:pos:R:3 pbc="T T T"
Ce 0.274 0.262 3.543
B 1.267 2.159 1.411
B 0.547 0.932 0.609
B 1.328 -1.894 1.706
B 0.573 -0.817 0.736
B -0.954 0.043 0.791
B -2.212 0.100 1.833
```

Symmetry: Pm-3m
Energy of formation from the pure elements, eV/atom: -0.516


[3]
Entry from Materials Project: a relaxed structure of Li3Ce4B12H48Cl4 (PBE-GGA).

Cell and atoms, written as extended XYZ:
```
71
Lattice="-5.788 5.717 -5.788 5.788 -5.717 -5.788 -5.879 -5.808 -5.788" Properties=species:S:1:pos:R:3 pbc="T T T"
Li -0.045 -5.762 -8.802
Li -5.848 -2.986 -11.512
Li -0.031 -2.822 -5.723
Ce -1.700 -1.657 -9.913
Ce -7.500 -4.141 -7.437
Ce -4.167 4.050 -7.437
Ce -9.967 1.566 -9.913
B -4.275 -1.471 -10.219
B -1.393 -1.447 -7.343
B -1.416 -4.230 -10.134
B 1.528 -4.349 -7.209
B -7.245 -4.380 -10.005
B -1.473 -7.355 -12.978
B -1.619 -7.176 -7.209
B 1.367 -1.428 -4.217
B -4.406 1.547 -7.190
B -1.604 -4.337 -4.431
B -4.486 -4.361 -13.132
B 1.325 -7.295 -10.134
H -3.930 -2.292 -9.356
H -2.256 -2.271 -7.683
H -2.271 -3.890 -9.304
H 1.880 -3.508 -8.041
H -8.097 -3.550 -9.658
H -8.108 -1.991 -8.035
H -1.970 -8.017 -8.041
H 2.218 -2.258 -3.870
H -3.559 1.900 -8.035
H -1.949 -3.516 -3.568
H -3.622 -3.537 -13.471
H 2.181 -7.635 -9.304
H -5.481 -1.394 -10.302
H -1.314 -1.355 -6.139
H -1.351 -5.436 -10.233
H 0.310 -4.415 -7.146
H -7.172 -4.467 -11.213
H -1.366 -6.163 -12.880
H -0.400 -7.110 -7.146
H 1.294 -1.341 -5.424
H -4.513 0.355 -7.092
H -0.397 -4.414 -4.513
H -4.564 -4.453 -11.927
H 1.261 -6.089 -10.233
H -3.792 -0.379 -9.901
H -0.329 -1.794 -7.882
H -1.724 -3.733 -11.219
H -3.732 -1.814 -11.282
H -0.345 -3.704 -9.786
H -1.706 -0.359 -7.835
H 2.008 -5.440 -7.517
H -6.177 -4.030 -9.476
H -1.816 -7.916 -11.922
H 2.004 -4.035 -6.114
H -6.207 -2.200 -7.542
H -1.675 0.342 -3.723
H -2.099 -6.085 -7.517
H 0.299 -1.778 -3.688
H -4.063 2.108 -6.134
H -7.882 -1.773 -11.903
H -5.460 2.109 -7.542
H -4.203 -6.150 -9.512
H -7.875 0.288 -9.901
H -5.549 -4.014 -13.670
H -4.155 -2.075 -5.431
H -2.146 -3.994 -5.493
H 0.254 -7.821 -9.786
H -4.173 -5.449 -13.624
Cl -4.627 -4.571 -7.024
Cl 1.233 -1.227 -10.339
Cl -1.323 -10.298 -10.339
Cl -1.252 -1.237 -1.235
```

Symmetry: C2
M_tot, Bohr magnetons per cell: 3.0
Energy of formation from the pure elements, eV/atom: -0.442


Look up the energy of formation from the pure elements of the second one.
-0.516 eV/atom


Look up the energy of formation from the pure elements of the third one.
-0.442 eV/atom


The lowest energy of formation from the pure elements belongs to which entry?
CeB4